# 1
Ca2Ta2O7 after structural relaxation, computed with PBE. Values from VASP.

Results
MP2020-corrected energy in hartree per atom: -0.3364
Energy relative to the elements in eV per atom: -3.485

```
&SYSTEM
  ibrav = 0, nat = 154, ntyp = 3
/
ATOMIC_SPECIES
Ca 40.08 Ca.upf
Ta 180.95 Ta.upf
O 16.00 O.upf
CELL_PARAMETERS angstrom
6.417 -3.725 0.000
6.417 3.725 0.000
-4.293 0.000 42.722
ATOMIC_POSITIONS crystal
Ca 0.000 0.000 0.000
Ca 0.019 0.981 0.500
Ca 0.022 0.472 0.502
Ca 0.060 0.587 0.212
Ca 0.063 0.085 0.214
Ca 0.113 0.631 0.359
Ca 0.162 0.636 0.931
Ca 0.183 0.688 0.573
Ca 0.312 0.817 0.427
Ca 0.348 0.348 0.073
Ca 0.364 0.838 0.069
Ca 0.369 0.887 0.641
Ca 0.378 0.374 0.641
Ca 0.413 0.940 0.788
Ca 0.528 0.978 0.498
Ca 0.550 0.077 0.211
Ca 0.567 0.067 0.712
Ca 0.619 0.126 0.358
Ca 0.626 0.622 0.359
Ca 0.648 0.146 0.928
Ca 0.652 0.652 0.927
Ca 0.706 0.229 0.144
Ca 0.771 0.294 0.856
Ca 0.854 0.352 0.072
Ca 0.874 0.381 0.642
Ca 0.915 0.937 0.786
Ca 0.923 0.450 0.789
Ca 0.933 0.433 0.288
Ta 0.001 0.502 0.002
Ta 0.054 0.078 0.719
Ta 0.054 0.573 0.716
Ta 0.114 0.148 0.928
Ta 0.117 0.117 0.356
Ta 0.198 0.181 0.571
Ta 0.207 0.215 0.142
Ta 0.210 0.719 0.144
Ta 0.281 0.293 0.859
Ta 0.281 0.790 0.856
Ta 0.318 0.303 0.428
Ta 0.426 0.451 0.289
Ta 0.427 0.946 0.284
Ta 0.442 0.415 0.784
Ta 0.478 0.522 0.500
Ta 0.498 0.999 0.998
Ta 0.501 0.499 0.000
Ta 0.549 0.574 0.711
Ta 0.585 0.558 0.216
Ta 0.696 0.183 0.569
Ta 0.697 0.682 0.572
Ta 0.707 0.719 0.141
Ta 0.785 0.793 0.858
Ta 0.817 0.304 0.431
Ta 0.819 0.802 0.429
Ta 0.852 0.886 0.072
Ta 0.883 0.883 0.644
Ta 0.922 0.946 0.281
O 0.000 0.989 0.051
O 0.009 0.026 0.670
O 0.011 0.000 0.949
O 0.023 0.404 0.956
O 0.085 0.115 0.764
O 0.097 0.023 0.149
O 0.103 0.248 0.442
O 0.111 0.743 0.098
O 0.118 0.287 0.705
O 0.119 0.644 0.288
O 0.120 0.599 0.421
O 0.125 0.037 0.274
O 0.141 0.539 0.761
O 0.160 0.722 0.625
O 0.174 0.220 0.617
O 0.196 0.600 0.994
O 0.208 0.259 0.189
O 0.214 0.163 0.096
O 0.225 0.142 0.524
O 0.227 0.066 0.843
O 0.227 0.640 0.522
O 0.229 0.225 0.014
O 0.250 0.280 0.904
O 0.257 0.889 0.902
O 0.278 0.840 0.375
O 0.281 0.228 0.385
O 0.303 0.418 0.137
O 0.303 0.695 0.188
O 0.305 0.697 0.812
O 0.316 0.321 0.814
O 0.345 0.472 0.704
O 0.346 0.520 0.872
O 0.352 0.231 0.275
O 0.356 0.881 0.712
O 0.360 0.029 0.329
O 0.360 0.773 0.478
O 0.365 0.362 0.474
O 0.400 0.804 0.006
O 0.401 0.880 0.579
O 0.403 0.283 0.578
O 0.409 0.016 0.953
O 0.411 0.502 0.242
O 0.439 0.435 0.334
O 0.461 0.859 0.239
O 0.480 0.654 0.128
O 0.498 0.497 0.047
O 0.498 0.589 0.758
O 0.503 0.502 0.953
O 0.513 0.020 0.149
O 0.521 0.004 0.437
O 0.528 0.655 0.296
O 0.537 0.354 0.416
O 0.539 0.143 0.764
O 0.565 0.561 0.666
O 0.582 0.697 0.863
O 0.584 0.097 0.865
O 0.595 0.031 0.661
O 0.596 0.977 0.044
O 0.602 0.193 0.993
O 0.635 0.245 0.525
O 0.638 0.635 0.526
O 0.646 0.463 0.584
O 0.679 0.684 0.186
O 0.690 0.283 0.195
O 0.707 0.155 0.093
O 0.713 0.882 0.295
O 0.717 0.310 0.805
O 0.717 0.597 0.422
O 0.719 0.243 0.284
O 0.720 0.750 0.096
O 0.741 0.792 0.811
O 0.752 0.897 0.558
O 0.755 0.365 0.475
O 0.757 0.281 0.716
O 0.769 0.648 0.725
O 0.772 0.719 0.615
O 0.773 0.116 0.615
O 0.775 0.771 0.986
O 0.780 0.826 0.383
O 0.807 0.398 0.007
O 0.837 0.786 0.904
O 0.845 0.293 0.907
O 0.857 0.461 0.236
O 0.858 0.775 0.476
O 0.884 0.227 0.385
O 0.885 0.915 0.236
O 0.903 0.416 0.135
O 0.924 0.004 0.437
O 0.934 0.773 0.157
O 0.963 0.875 0.726
O 0.969 0.405 0.339
O 0.971 0.640 0.671
O 0.974 0.991 0.330
O 0.977 0.903 0.851
O 0.980 0.487 0.851
O 0.984 0.591 0.047
O 0.996 0.076 0.563
O 0.996 0.479 0.563
```

=====

# 2
CaTa2O6 after structural relaxation, computed with PBE. Values from VASP.

Results
MP2020-corrected energy in hartree per atom: -0.3542
Energy relative to the elements in eV per atom: -3.483

```
&SYSTEM
  ibrav = 0, nat = 36, ntyp = 3
/
ATOMIC_SPECIES
Ca 40.08 Ca.upf
Ta 180.95 Ta.upf
O 16.00 O.upf
CELL_PARAMETERS angstrom
11.213 0.000 0.000
0.000 7.581 0.000
0.000 0.000 5.422
ATOMIC_POSITIONS crystal
Ca 0.041 0.250 0.043
Ca 0.459 0.750 0.543
Ca 0.541 0.250 0.457
Ca 0.959 0.750 0.957
Ta 0.141 0.505 0.537
Ta 0.141 0.995 0.537
Ta 0.359 0.005 0.037
Ta 0.359 0.495 0.037
Ta 0.641 0.505 0.963
Ta 0.641 0.995 0.963
Ta 0.859 0.005 0.463
Ta 0.859 0.495 0.463
O 0.024 0.540 0.271
O 0.024 0.960 0.271
O 0.122 0.750 0.660
O 0.144 0.250 0.449
O 0.213 0.060 0.868
O 0.213 0.440 0.868
O 0.287 0.560 0.368
O 0.287 0.940 0.368
O 0.356 0.750 0.949
O 0.378 0.250 0.160
O 0.476 0.040 0.771
O 0.476 0.460 0.771
O 0.524 0.540 0.229
O 0.524 0.960 0.229
O 0.622 0.750 0.840
O 0.644 0.250 0.051
O 0.713 0.060 0.632
O 0.713 0.440 0.632
O 0.787 0.560 0.132
O 0.787 0.940 0.132
O 0.856 0.750 0.551
O 0.878 0.250 0.340
O 0.976 0.040 0.729
O 0.976 0.460 0.729
```

=====

# 3
CaTa4O11 after structural relaxation, computed with PBE. Values from VASP.

Results
MP2020-corrected energy in hartree per atom: -0.3646
Energy relative to the elements in eV per atom: -3.429

```
&SYSTEM
  ibrav = 0, nat = 32, ntyp = 3
/
ATOMIC_SPECIES
Ca 40.08 Ca.upf
Ta 180.95 Ta.upf
O 16.00 O.upf
CELL_PARAMETERS angstrom
6.281 0.000 0.000
-3.140 5.439 0.000
0.000 0.000 12.392
ATOMIC_POSITIONS crystal
Ca 0.333 0.667 0.250
Ca 0.667 0.333 0.750
Ta 0.000 0.358 0.500
Ta 0.000 0.642 0.000
Ta 0.333 0.667 0.750
Ta 0.358 0.000 0.500
Ta 0.358 0.358 0.000
Ta 0.642 0.000 0.000
Ta 0.642 0.642 0.500
Ta 0.667 0.333 0.250
O 0.000 0.245 0.000
O 0.000 0.755 0.500
O 0.055 0.434 0.656
O 0.055 0.621 0.844
O 0.245 0.000 0.000
O 0.245 0.245 0.500
O 0.333 0.667 0.034
O 0.333 0.667 0.466
O 0.379 0.434 0.844
O 0.379 0.945 0.656
O 0.434 0.055 0.344
O 0.434 0.379 0.156
O 0.566 0.621 0.656
O 0.566 0.945 0.844
O 0.621 0.055 0.156
O 0.621 0.566 0.344
O 0.667 0.333 0.534
O 0.667 0.333 0.966
O 0.755 0.000 0.500
O 0.755 0.755 0.000
O 0.945 0.379 0.344
O 0.945 0.566 0.156
```

=====

# 4
Ca2Ta2O7 after structural relaxation, computed with PBE. Values from VASP.

Results
MP2020-corrected energy in hartree per atom: -0.3364
Energy relative to the elements in eV per atom: -3.485

```
&SYSTEM
  ibrav = 0, nat = 176, ntyp = 3
/
ATOMIC_SPECIES
Ca 40.08 Ca.upf
Ta 180.95 Ta.upf
O 16.00 O.upf
CELL_PARAMETERS angstrom
3.720 -6.426 0.000
3.720 6.426 0.000
0.000 0.000 48.809
ATOMIC_POSITIONS crystal
Ca 0.068 0.420 0.564
Ca 0.068 0.911 0.563
Ca 0.080 0.915 0.126
Ca 0.085 0.920 0.374
Ca 0.089 0.932 0.937
Ca 0.090 0.910 0.750
Ca 0.244 0.247 0.188
Ca 0.247 0.244 0.812
Ca 0.249 0.742 0.814
Ca 0.253 0.738 0.185
Ca 0.258 0.751 0.686
Ca 0.260 0.260 0.000
Ca 0.262 0.747 0.315
Ca 0.400 0.558 0.439
Ca 0.420 0.068 0.436
Ca 0.442 0.600 0.061
Ca 0.558 0.400 0.561
Ca 0.580 0.932 0.936
Ca 0.600 0.442 0.939
Ca 0.738 0.253 0.815
Ca 0.740 0.740 0.500
Ca 0.742 0.249 0.186
Ca 0.747 0.262 0.685
Ca 0.751 0.258 0.314
Ca 0.753 0.756 0.312
Ca 0.756 0.753 0.688
Ca 0.910 0.090 0.250
Ca 0.911 0.068 0.437
Ca 0.915 0.080 0.874
Ca 0.920 0.085 0.626
Ca 0.932 0.089 0.063
Ca 0.932 0.580 0.064
Ta 0.082 0.413 0.376
Ta 0.087 0.397 0.937
Ta 0.090 0.418 0.124
Ta 0.091 0.411 0.753
Ta 0.226 0.228 0.689
Ta 0.228 0.226 0.311
Ta 0.240 0.240 0.500
Ta 0.243 0.742 0.502
Ta 0.258 0.757 0.998
Ta 0.397 0.087 0.063
Ta 0.411 0.091 0.247
Ta 0.411 0.579 0.626
Ta 0.411 0.589 0.250
Ta 0.413 0.082 0.624
Ta 0.418 0.090 0.876
Ta 0.421 0.589 0.874
Ta 0.579 0.411 0.374
Ta 0.582 0.910 0.376
Ta 0.587 0.918 0.124
Ta 0.589 0.411 0.750
Ta 0.589 0.421 0.126
Ta 0.589 0.909 0.747
Ta 0.603 0.913 0.563
Ta 0.742 0.243 0.498
Ta 0.757 0.258 0.002
Ta 0.760 0.760 0.000
Ta 0.772 0.774 0.811
Ta 0.774 0.772 0.189
Ta 0.909 0.589 0.253
Ta 0.910 0.582 0.624
Ta 0.913 0.603 0.437
Ta 0.918 0.587 0.876
O 0.039 0.483 0.012
O 0.042 0.883 0.171
O 0.042 0.885 0.794
O 0.052 0.457 0.416
O 0.063 0.863 0.994
O 0.064 0.405 0.166
O 0.065 0.422 0.793
O 0.065 0.866 0.419
O 0.111 0.885 0.618
O 0.112 0.483 0.620
O 0.115 0.889 0.882
O 0.115 0.958 0.706
O 0.116 0.884 0.250
O 0.117 0.958 0.329
O 0.125 0.439 0.084
O 0.126 0.368 0.337
O 0.126 0.522 0.241
O 0.134 0.935 0.081
O 0.137 0.937 0.506
O 0.141 0.539 0.863
O 0.149 0.401 0.712
O 0.159 0.703 0.462
O 0.223 0.259 0.541
O 0.228 0.682 0.959
O 0.240 0.285 0.956
O 0.259 0.223 0.459
O 0.278 0.711 0.370
O 0.282 0.718 0.750
O 0.285 0.240 0.044
O 0.288 0.310 0.130
O 0.289 0.722 0.130
O 0.293 0.313 0.760
O 0.297 0.841 0.038
O 0.304 0.351 0.387
O 0.310 0.288 0.870
O 0.313 0.293 0.240
O 0.318 0.772 0.541
O 0.338 0.549 0.914
O 0.342 0.543 0.494
O 0.351 0.304 0.613
O 0.353 0.510 0.290
O 0.368 0.126 0.663
O 0.373 0.503 0.665
O 0.401 0.149 0.288
O 0.405 0.064 0.834
O 0.422 0.065 0.207
O 0.439 0.125 0.916
O 0.451 0.662 0.586
O 0.457 0.052 0.584
O 0.457 0.658 0.006
O 0.461 0.859 0.637
O 0.478 0.874 0.259
O 0.483 0.039 0.988
O 0.483 0.112 0.380
O 0.490 0.647 0.210
O 0.497 0.627 0.835
O 0.503 0.373 0.335
O 0.510 0.353 0.710
O 0.517 0.888 0.880
O 0.517 0.961 0.488
O 0.522 0.126 0.759
O 0.539 0.141 0.137
O 0.543 0.342 0.506
O 0.543 0.948 0.084
O 0.549 0.338 0.086
O 0.561 0.875 0.416
O 0.578 0.935 0.707
O 0.595 0.936 0.334
O 0.599 0.851 0.788
O 0.627 0.497 0.165
O 0.632 0.874 0.163
O 0.647 0.490 0.790
O 0.649 0.696 0.113
O 0.658 0.457 0.994
O 0.662 0.451 0.414
O 0.682 0.228 0.041
O 0.687 0.707 0.740
O 0.690 0.712 0.370
O 0.696 0.649 0.887
O 0.703 0.159 0.538
O 0.707 0.687 0.260
O 0.711 0.278 0.630
O 0.712 0.690 0.630
O 0.715 0.760 0.544
O 0.718 0.282 0.250
O 0.722 0.289 0.870
O 0.741 0.777 0.959
O 0.760 0.715 0.456
O 0.772 0.318 0.459
O 0.777 0.741 0.041
O 0.841 0.297 0.962
O 0.851 0.599 0.212
O 0.859 0.461 0.363
O 0.863 0.063 0.006
O 0.866 0.065 0.581
O 0.874 0.478 0.741
O 0.874 0.632 0.837
O 0.875 0.561 0.584
O 0.883 0.042 0.829
O 0.884 0.116 0.750
O 0.885 0.042 0.206
O 0.885 0.111 0.382
O 0.888 0.517 0.120
O 0.889 0.115 0.118
O 0.935 0.134 0.919
O 0.935 0.578 0.293
O 0.936 0.595 0.666
O 0.937 0.137 0.494
O 0.948 0.543 0.916
O 0.958 0.115 0.294
O 0.958 0.117 0.671
O 0.961 0.517 0.512
```